Computed, not measured: crystalline Na14Zr2Zn6Si5S7O48 at its relaxed geometry at the GGA-PBE level of DFT.

Cell lengths 18.4017, 9.2037, 22.3946 Å; angles 90.12, 89.95, 120.17 degrees
Last column: nearest neighbours and their distance in Å.
Positions (direct):
Zn1 0.0095 0.0038 0.3565  3 O 1.97-2.09
Na1 0.1673 0.6702 0.1563  3 O 2.38-2.46
O1 0.8430 0.1471 0.7477  1 S 1.46
Si1 0.6532 0.0011 0.2523  4 O 1.64-1.67
O2 0.4024 0.7886 0.3066  1 S 1.50
O3 0.8230 0.5204 0.9163  1 S 1.48
O4 0.5834 0.2018 0.4108  1 S 1.52
O5 0.0008 0.8255 0.4097  1 Si 1.64
S1 0.8134 0.9599 0.4153  4 O 1.48-1.51
Na2 0.5161 0.3356 0.0691  1 O 2.26
O6 0.9348 0.4911 0.1383  1 Si 1.62
O7 0.8128 0.5094 0.6367  1 Si 1.60
O8 0.7187 0.2904 0.0259  1 Si 1.63
S2 0.3186 0.9610 0.4142  4 O 1.48-1.51
O9 0.9020 0.0159 0.8067  1 S 1.50
O10 0.2739 0.6924 0.9702  1 S 1.49
Zn2 0.3247 0.3172 0.4921  2 O 1.92-1.99
O11 0.9176 0.4928 0.7453  1 Si 1.63
O12 0.9414 0.3524 0.6376  1 S 1.47
O13 0.2830 0.8654 0.4699  1 S 1.48
O14 0.0074 0.1945 0.9139  1 S 1.50
O15 0.7541 0.1349 0.6377  1 Si 1.60
Na3 0.3540 0.0454 0.9218  5 O 2.36-2.61
Si2 0.3347 0.0362 0.0832  4 O 1.61-1.68
O16 0.6561 0.4681 0.7551  1 S 1.50
Zr1 0.0045 0.9902 0.6516  4 O 1.96-2.07
O17 0.8985 0.9787 0.4102  1 S 1.49
O18 0.3230 0.5312 0.6380  1 S 1.47
Zn3 0.3147 0.3047 0.1688  2 O 1.85-1.86
O19 0.5831 0.9776 0.9136  1 Si 1.65
O20 0.5936 0.0254 0.5914  1 Si 1.74
O21 0.4165 0.0058 0.0927  1 Si 1.68
O22 0.0729 0.6569 0.0769  1 Si 1.63
Zr2 0.5059 0.0159 0.6465  6 O 2.00-2.22
Na4 0.3092 0.6172 0.7515  4 O 2.33-2.53
O23 0.9123 0.0173 0.0925  1 S 1.54
O24 0.6051 0.1983 0.8061  1 S 1.48
Si3 0.8345 0.6355 0.5817  4 O 1.60-1.67
O25 0.8445 0.5409 0.2496  1 S 1.47
O26 0.5575 0.6466 0.3600  1 S 1.50
Si4 0.0119 0.6608 0.4181  4 O 1.62-1.70
O27 0.1578 0.8588 0.9711  1 S 1.49
O28 0.6831 0.8665 0.8650  1 Si 1.68
Na5 0.6715 0.0452 0.4211  6 O 2.42-2.68
Na6 0.1528 0.3312 0.5769  5 O 2.46-2.64
O29 0.0886 0.9738 0.9149  1 S 1.50
Zn4 0.8244 0.3343 0.9887  3 O 1.96-2.11
O30 0.9916 0.1888 0.3048  1 S 1.48
O31 0.5720 0.6945 0.4683  1 S 1.48
S3 0.4986 0.2981 0.2534  4 O 1.47-1.51
Zn5 0.6661 0.6810 0.3180  4 O 2.02-2.15
O32 0.9183 0.5491 0.0207  1 Si 1.64
O33 0.2676 0.6860 0.2543  1 S 1.49
O34 0.5961 0.2149 0.6977  1 S 1.53
Na7 0.1612 0.0343 0.4283  4 O 2.36-2.62
O35 0.1073 0.0158 0.3053  1 S 1.47
Na8 0.1605 0.6718 0.6695  5 O 2.39-2.65
O36 0.5891 0.1716 0.0919  1 Si 1.69
Na9 0.3206 0.3246 0.3331  4 O 2.40-2.60
O37 0.1567 0.4622 0.4804  1 Si 1.63
O38 0.7625 0.8813 0.3596  1 S 1.51
Na10 0.3447 0.6514 0.4185  5 O 2.36-2.64
O39 0.3195 0.1195 0.1419  1 Si 1.61
Na11 0.0056 0.9992 0.9942  4 O 2.43-2.67
O40 0.4130 0.8077 0.5913  1 S 1.54
O41 0.3485 0.5387 0.2481  1 S 1.47
O42 0.7555 0.1549 0.9219  1 Si 1.65
O43 0.7674 0.6912 0.2541  1 S 1.51
O44 0.5727 0.4899 0.5768  1 Si 1.63
Si5 0.9755 0.6141 0.0815  4 O 1.62-1.72
O45 0.4921 0.7951 0.8052  1 S 1.48
Na12 0.1676 0.2947 0.9149  6 O 2.50-2.61
O46 0.5670 0.6563 0.0831  1 S 1.48
O47 0.9885 0.1748 0.5882  1 S 1.51
Na13 0.9870 0.3082 0.4224  5 O 2.43-2.64
Na14 0.5242 0.6883 0.5854  2 O 2.36-2.41
Si6 0.1696 0.3717 0.4219  4 O 1.63-1.69
S4 0.4806 0.6285 0.0865  4 O 1.48-1.53
Na15 0.8552 0.6614 0.4251  4 O 2.31-2.58
O48 0.2478 0.3198 0.7441  1 Si 1.65
O49 0.0585 0.4681 0.8633  1 S 1.49
O50 0.3209 0.5146 0.9196  1 S 1.49
O51 0.6568 0.8241 0.2538  1 Si 1.66
Na16 0.8249 0.9553 0.5859  4 O 2.38-2.65
Zn6 0.5066 0.0050 0.3393  3 O 1.91-2.09
O52 0.0865 0.6918 0.7541  1 Si 1.66
Si7 0.5121 0.3635 0.9185  4 O 1.63-1.69
O53 0.3981 0.9808 0.6981  1 S 1.52
Si8 0.1546 0.3038 0.7514  4 O 1.65-1.67
S5 0.9991 0.2895 0.2516  4 O 1.47-1.51
O54 0.4036 0.9775 0.4067  1 S 1.50
O55 0.8518 0.1399 0.0314  1 S 1.48
Na17 0.3210 0.6924 0.0814  4 O 2.38-2.64
Na18 0.5039 0.0179 0.9917  3 O 2.36-2.61
O56 0.7471 0.1679 0.2447  1 Si 1.64
Zn7 0.1570 0.6510 0.8115  5 O 1.99-2.23
Si9 0.4754 0.3363 0.5814  4 O 1.61-1.72
O57 0.6548 0.8516 0.9814  1 Si 1.64
O58 0.7664 0.8399 0.7549  1 S 1.51
O59 0.1741 0.8729 0.8621  1 S 1.48
S6 0.8534 0.7090 0.2535  4 O 1.47-1.52
O60 0.0927 0.1631 0.0911  1 Si 1.72
Na19 0.6651 0.3593 0.5817  3 O 2.38-2.65
Si10 0.1894 0.3392 0.0800  4 O 1.62-1.72
Zn8 0.1660 0.6680 0.0237  6 O 2.02-2.23
O61 0.4835 0.1599 0.5915  1 Si 1.72
S7 0.6498 0.2991 0.7529  4 O 1.44-1.53
Na20 0.8113 0.0047 0.2508  4 O 2.33-2.58
O62 0.1836 0.5000 0.3637  1 Si 1.69
O63 0.4408 0.5293 0.1409  1 S 1.48
O64 0.7600 0.6542 0.8649  1 S 1.51
O65 0.3465 0.1502 0.7495  1 S 1.47
Na21 0.0241 0.3610 0.0820  3 O 2.34-2.61
Zn9 0.5083 0.0137 0.8557  5 O 1.99-2.19
Zn10 0.8297 0.3493 0.6793  3 O 1.91-2.10
O66 0.1630 0.4904 0.7527  1 Si 1.65
O67 0.7772 0.6918 0.9729  1 S 1.49
O68 0.3622 0.1535 0.0233  1 Si 1.64
Na22 0.0042 0.9892 0.4981  6 O 2.47-2.75
O69 0.9164 0.8293 0.5905  1 Si 1.67
S8 0.1656 0.9565 0.9163  4 O 1.48-1.50
O70 0.5078 0.2076 0.2000  1 S 1.51
Si11 0.6695 0.9685 0.9226  4 O 1.64-1.68
Zr3 0.5038 0.0068 0.1487  6 O 2.00-2.22
O71 0.0830 0.1897 0.4133  1 Si 1.64
O72 0.4325 0.3765 0.6370  1 Si 1.61
O73 0.8608 0.5737 0.5206  1 Si 1.64
O74 0.5703 0.4351 0.9780  1 Si 1.63
O75 0.2512 0.8502 0.0777  1 Si 1.63
O76 0.9238 0.3048 0.2470  1 S 1.47
O77 0.9795 0.7654 0.8153  1 Si 1.64
Zn11 0.3274 0.3109 0.6781  3 O 1.94-2.11
S9 0.1510 0.0024 0.2526  4 O 1.47-1.53
O78 0.9842 0.8074 0.0925  1 Si 1.72
Na23 0.6677 0.6624 0.1636  6 O 2.40-2.69
O79 0.7514 0.6572 0.5765  1 Si 1.64
O80 0.4307 0.5529 0.0317  1 S 1.48
O81 0.2618 0.8681 0.3624  1 S 1.51
S10 0.8511 0.9978 0.7520  4 O 1.46-1.51
O82 0.0713 0.7072 0.4767  1 Si 1.62
O83 0.0897 0.0105 0.5887  1 Si 1.68
Si12 0.6926 0.0487 0.5818  4 O 1.60-1.74
Na24 0.8395 0.3432 0.3328  5 O 2.38-2.65
O84 0.5780 0.6958 0.7538  1 S 1.51
Na25 0.4861 0.6662 0.9187  4 O 2.43-2.63
O85 0.3528 0.5645 0.5297  1 S 1.49
O86 0.8217 0.1287 0.4195  1 S 1.49
Na26 0.6702 0.6674 0.6581  3 O 2.39-2.50
O87 0.5083 0.8217 0.4115  1 S 1.51
Zr4 0.1615 0.6522 0.3171  3 O 1.94-2.17
O88 0.2188 0.1434 0.5230  1 Si 1.64
O89 0.8223 0.1130 0.1396  1 S 1.47
O90 0.3263 0.1293 0.4140  1 S 1.48
Si13 0.9946 0.6845 0.7546  4 O 1.63-1.68
O91 0.5878 0.9689 0.1954  1 Si 1.67
Na27 0.6890 0.3580 0.2462  5 O 2.41-2.66
Na28 0.0162 0.6968 0.5755  5 O 2.41-2.69
O92 0.7609 0.8648 0.0798  1 S 1.48
O93 0.1578 0.8471 0.2545  1 S 1.50
O94 0.1743 0.8365 0.5768  1 Si 1.65
Na29 0.5062 0.0131 0.5002  6 O 2.56-2.73
Na30 0.4808 0.3045 0.4261  4 O 2.34-2.52
S11 0.4996 0.7092 0.7516  4 O 1.46-1.51
Zn12 0.8290 0.3436 0.1764  2 O 1.93-1.95
O95 0.6718 0.8536 0.5774  1 Si 1.64
O96 0.6541 0.4554 0.4672  1 S 1.48
Zn13 0.1554 0.6637 0.5104  3 O 1.94-2.07
O97 0.0100 0.8156 0.6978  1 Si 1.68
O98 0.2713 0.8453 0.7541  1 S 1.49
O99 0.4284 0.3295 0.2470  1 S 1.47
O100 0.9030 0.7994 0.3061  1 S 1.47
O101 0.4339 0.5165 0.4195  1 S 1.49
Zn14 0.8337 0.3512 0.4943  2 O 1.94-1.99
O102 0.0987 0.9818 0.1970  1 S 1.53
O103 0.2400 0.1023 0.6424  1 Si 1.63
O104 0.4873 0.8007 0.0904  1 S 1.53
Na31 0.1601 0.9634 0.0771  3 O 2.38-2.55
O105 0.5009 0.1764 0.9101  1 Si 1.64
O106 0.7375 0.3526 0.4142  1 S 1.48
O107 0.9222 0.4825 0.4180  1 Si 1.64
Na32 0.6574 0.9789 0.0720  3 O 2.33-2.60
Zn15 0.0089 0.9921 0.8280  2 O 1.89-1.90
Zn16 0.6585 0.6492 0.0072  4 O 1.93-2.16
O108 0.9320 0.3078 0.5285  1 S 1.49
O109 0.7720 0.8530 0.4680  1 S 1.48
O110 0.0778 0.4604 0.2533  1 S 1.51
Na33 0.6631 0.2890 0.9247  5 O 2.48-2.64
S12 0.3346 0.6328 0.5843  4 O 1.47-1.54
O111 0.4859 0.1948 0.3074  1 S 1.48
O112 0.9339 0.3520 0.9221  1 S 1.49
Na34 0.8299 0.3347 0.8261  4 O 2.37-2.64
Si14 0.6850 0.3450 0.0843  4 O 1.63-1.69
O113 0.1704 0.4934 0.0752  1 Si 1.63
Na35 0.8267 0.6721 0.0785  4 O 2.42-2.60
S13 0.8160 0.6740 0.9171  4 O 1.48-1.51
S14 0.9812 0.3308 0.5841  4 O 1.47-1.51
S15 0.0184 0.3671 0.9179  4 O 1.49-1.50
O114 0.4240 0.5431 0.7469  1 S 1.46
Na36 0.5036 0.6406 0.2476  6 O 2.46-2.70
O115 0.6112 0.0357 0.3113  1 Si 1.64
O116 0.2248 0.2891 0.0212  1 Si 1.63
O117 0.3948 0.8068 0.1980  1 S 1.50
O118 0.7386 0.3751 0.1454  1 Si 1.63
Na37 0.1797 0.0018 0.7455  5 O 2.49-2.72
Na38 0.3246 0.9799 0.5826  3 O 2.40-2.60
O119 0.5687 0.4972 0.8633  1 Si 1.69
S16 0.3122 0.6671 0.9157  4 O 1.49-1.50
S17 0.6626 0.3735 0.4128  4 O 1.48-1.52
Na39 0.0030 0.3748 0.7467  3 O 2.32-2.58
Zn17 0.3318 0.3113 0.9889  3 O 1.96-2.17
O120 0.0680 0.6397 0.3619  1 Si 1.70
O121 0.2422 0.1284 0.9178  1 S 1.50
O122 0.7236 0.1579 0.5194  1 Si 1.65
Zr5 0.0057 0.9962 0.1463  6 O 1.98-2.21
O123 0.8950 0.8137 0.1981  1 S 1.52
O124 0.0677 0.4798 0.5808  1 S 1.49
S18 0.3522 0.7021 0.2519  4 O 1.47-1.50
O125 0.1126 0.1918 0.8121  1 Si 1.65
Si15 0.1838 0.0242 0.5824  4 O 1.63-1.68
Zn18 0.6665 0.6680 0.5264  3 O 1.97-2.03
O126 0.0086 0.2060 0.1964  1 S 1.51
O127 0.0895 0.2073 0.6945  1 Si 1.67
O128 0.8994 0.8288 0.9121  1 S 1.48
O129 0.6708 0.4742 0.3581  1 S 1.50
O130 0.3987 0.8187 0.9111  1 S 1.50
O131 0.2487 0.3885 0.1388  1 Si 1.62
S19 0.5186 0.6694 0.4154  4 O 1.48-1.51
Na40 0.8481 0.0421 0.9132  5 O 2.41-2.64
S20 0.8344 0.0360 0.0855  4 O 1.47-1.54
O132 0.2341 0.1542 0.2478  1 S 1.47
O133 0.4062 0.0126 0.8062  1 S 1.48
O134 0.8934 0.9785 0.6979  1 S 1.50
Na41 0.9808 0.6631 0.9138  6 O 2.40-2.64
O135 0.0712 0.4485 0.9715  1 S 1.49
O136 0.6747 0.5119 0.0782  1 Si 1.64
O137 0.7309 0.3115 0.7481  1 S 1.44
O138 0.2554 0.3567 0.4209  1 Si 1.65
O139 0.2606 0.6466 0.8616  1 S 1.49
O140 0.4224 0.3623 0.9183  1 Si 1.65
Na42 0.3365 0.3318 0.8308  6 O 2.45-2.71
Zr6 0.6624 0.6715 0.8175  3 O 1.95-2.16
O141 0.5801 0.4618 0.2551  1 S 1.50
O142 0.5093 0.8119 0.6966  1 S 1.51
O143 0.2617 0.6567 0.5783  1 S 1.47
O144 0.4204 0.2906 0.5194  1 Si 1.65
S21 0.3555 0.0005 0.7534  4 O 1.47-1.52

Properties
* E_form: -2.3315 eV per atom
* size of the total moment: 0.00 μB/cell
* SG: No. 1
* E: -6.04 eV per atom

---

Computed, not measured: crystalline Ag2TeH4O6 at its relaxed geometry at the GGA-PBE level of DFT.

Cell lengths 10.4377, 9.9440, 5.6055 Å; angles 78.95, 69.24, 31.81 degrees
Last column: nearest neighbours and their distance in Å.
Positions (direct):
O1 0.8610 0.7236 0.4139  2 H 1.59-1.64
H1 0.9366 0.8025 0.4552  1 O 1.02
O2 0.9768 0.8538 0.5107  1 H 1.02
O3 0.5913 0.7393 0.3962  1 H 1.02
O4 0.2074 0.7008 0.9686  1 H 1.02
Ag1 0.8688 0.2866 0.6602  3 O 2.26-2.50
O5 0.1268 0.2814 0.5492  1 H 1.02
O6 0.9686 0.1232 0.2074  1 H 1.02
O7 0.5492 0.0426 0.1268  1 H 1.02
Ag2 0.0656 0.5898 0.9634  3 O 2.26-2.50
Ag3 0.6602 0.1844 0.8688  3 O 2.26-2.50
O8 0.5107 0.6587 0.9768  1 H 1.02
H2 0.2245 0.7552 0.8028  1 O 1.02
Ag4 0.9634 0.3812 0.0656  3 O 2.26-2.50
O9 0.3962 0.2732 0.5913  1 H 1.02
H3 0.4443 0.7948 0.4475  1 O 1.02
H4 0.4948 0.0255 0.0325  1 O 1.02
H5 0.4475 0.3134 0.4443  1 O 1.02
O10 0.4139 0.0014 0.8610  2 H 1.59-1.64
Te1 0.4974 0.0026 0.4974  6 O 1.91-2.00
O11 0.2486 0.8361 0.5264  2 H 1.59-1.64
O12 0.5264 0.3890 0.2486  2 H 1.59-1.64
H6 0.0325 0.4472 0.4948  1 O 1.02
H7 0.4552 0.8057 0.9366  1 O 1.02
H8 0.8028 0.2175 0.2245  1 O 1.02
Te2 0.2474 0.7526 0.2474  6 O 1.91-2.00

Properties
* E_form: -1.0986 eV per atom
* size of the total moment: 0.00 μB/cell
* SG: No. 43
* E: -4.79 eV per atom

---

Computed, not measured: crystalline BaSi12Pt5 at its relaxed geometry at the GGA-PBE level of DFT.

Cell lengths 16.6778, 16.6778, 6.1657 Å; angles 89.98, 89.98, 158.61 degrees
Last column: nearest neighbours and their distance in Å.
Positions (direct):
Pt1 0.9247 0.0753 0.5000  6 Si 2.46-2.48
Pt2 0.7977 0.2023 0.5000  6 Si 2.43-2.51
Ba1 0.1245 0.8755 0.0000  14 Si 3.37-3.54, 4 Pt 3.48
Si1 0.4210 0.8555 0.3691  2 Si 2.35-2.50, 2 Pt 2.43-2.47
Si2 0.3636 0.6406 0.7813  3 Si 2.44-2.70, 2 Pt 2.46-2.53
Si3 0.6423 0.0835 0.8657  2 Si 2.37-2.50, 2 Pt 2.46-2.48
Si4 0.5790 0.1445 0.6309  2 Si 2.35-2.50, 2 Pt 2.43-2.47
Si5 0.2916 0.2116 0.2511  4 Pt 2.47-2.56, 1 Si 2.62
Si6 0.9165 0.3577 0.1343  2 Si 2.37-2.50, 2 Pt 2.46-2.48
Si7 0.3571 0.0811 0.4994  3 Si 2.44-2.71, 2 Pt 2.46-2.51
Ba2 0.8755 0.1245 0.0000  14 Si 3.37-3.54, 4 Pt 3.48
Pt3 0.2023 0.7977 0.5000  6 Si 2.43-2.51
Si8 0.0811 0.3571 0.4994  3 Si 2.44-2.71, 2 Pt 2.46-2.51
Si9 0.7088 0.7887 0.2508  4 Pt 2.48-2.55, 1 Si 2.62
Si10 0.9189 0.6429 0.5006  3 Si 2.44-2.71, 2 Pt 2.46-2.51
Si11 0.6406 0.3636 0.7813  3 Si 2.44-2.70, 2 Pt 2.46-2.53
Pt4 0.4243 0.5757 0.0000  6 Si 2.46-2.48
Si12 0.7084 0.7884 0.7489  4 Pt 2.47-2.56, 1 Si 2.62
Si13 0.8555 0.4210 0.3691  2 Si 2.35-2.50, 2 Pt 2.43-2.47
Pt5 0.5000 0.5000 0.5000  8 Si 2.54
Si14 0.7884 0.7084 0.7489  4 Pt 2.47-2.56, 1 Si 2.62
Pt6 0.5757 0.4243 0.0000  6 Si 2.46-2.48
Si15 0.0835 0.6423 0.8657  2 Si 2.37-2.50, 2 Pt 2.46-2.48
Si16 0.6364 0.3594 0.2187  3 Si 2.44-2.70, 2 Pt 2.46-2.53
Si17 0.6429 0.9189 0.5006  3 Si 2.44-2.71, 2 Pt 2.46-2.51
Si18 0.7887 0.7088 0.2508  4 Pt 2.48-2.55, 1 Si 2.62
Si19 0.2113 0.2912 0.7492  4 Pt 2.48-2.55, 1 Si 2.62
Si20 0.1445 0.5790 0.6309  2 Si 2.35-2.50, 2 Pt 2.43-2.47
Pt7 0.0753 0.9247 0.5000  6 Si 2.46-2.48
Si21 0.2116 0.2916 0.2511  4 Pt 2.47-2.56, 1 Si 2.62
Si22 0.3577 0.9165 0.1343  2 Si 2.37-2.50, 2 Pt 2.46-2.48
Pt8 0.7037 0.2963 0.0000  8 Si 2.46-2.75
Pt9 0.2963 0.7037 0.0000  8 Si 2.46-2.75
Si23 0.3594 0.6364 0.2187  3 Si 2.44-2.70, 2 Pt 2.46-2.53
Pt10 0.0000 0.0000 0.0000  8 Si 2.55-2.56
Si24 0.2912 0.2113 0.7492  4 Pt 2.48-2.55, 1 Si 2.62

Properties
* E_form: -0.4933 eV per atom
* SG: No. 12
* E: -5.90 eV per atom